Entry 1:
Compound: Hf4USi4
Source: Materials Project
Functional: PBE
Structure: relaxed

Cell lengths 7.168, 7.168, 13.079 Å; angles 90.00, 90.00, 90.00 degrees
Positions (direct):
Hf (0.500, 0.651, 0.535)
Si (0.791, 0.636, 0.070)
Si (0.697, 0.454, 0.686)
Si (0.209, 0.052, 0.064)
Si (0.791, 0.948, 0.564)
Si (0.850, 0.700, 0.430)
Hf (0.002, 0.352, 0.123)
Hf (0.852, 0.496, 0.876)
Hf (0.175, 0.676, 0.002)
Si (0.948, 0.209, 0.314)
Si (0.454, 0.303, 0.436)
U (0.849, 0.004, 0.965)
Hf (0.352, 0.998, 0.873)
Hf (0.496, 0.148, 0.626)
U (0.996, 0.849, 0.215)
U (0.151, 0.996, 0.465)
Hf (0.349, 0.500, 0.785)
Si (0.209, 0.364, 0.570)
Si (0.300, 0.850, 0.680)
Si (0.052, 0.791, 0.814)
Hf (0.651, 0.500, 0.285)
Hf (0.825, 0.324, 0.502)
Hf (0.504, 0.852, 0.126)
Si (0.303, 0.546, 0.186)
Hf (0.148, 0.504, 0.376)
Si (0.700, 0.150, 0.180)
Si (0.636, 0.209, 0.820)
Si (0.546, 0.697, 0.936)
Si (0.364, 0.791, 0.320)
Hf (0.324, 0.175, 0.252)
Hf (0.998, 0.648, 0.623)
Hf (0.676, 0.825, 0.752)
Hf (0.648, 0.002, 0.373)
U (0.004, 0.151, 0.715)
Si (0.150, 0.300, 0.930)
Hf (0.500, 0.349, 0.035)

V   18.67 Å³ per atom
Formation energy from the elements   -635 meV/atom
Energy   -315.3 eV for the cell shown
Space group   P4_1, No. 76
Crystal system   tetragonal


Entry 2:
Compound: Cs2SeO4
Source: Materials Project
Functional: PBE
Structure: relaxed

Cell lengths 6.574, 8.549, 11.532 Å; angles 90.00, 90.00, 90.00 degrees
Positions (direct):
Cs (0.750, 0.490, 0.796)
Se (0.750, 0.234, 0.419)
Cs (0.750, 0.990, 0.704)
O (0.041, 0.198, 0.852)
Cs (0.750, 0.676, 0.411)
Cs (0.750, 0.176, 0.089)
O (0.750, 0.539, 0.083)
O (0.041, 0.698, 0.648)
Cs (0.250, 0.510, 0.204)
O (0.250, 0.699, 0.443)
Se (0.750, 0.734, 0.081)
Se (0.250, 0.266, 0.919)
O (0.250, 0.461, 0.917)
O (0.250, 0.199, 0.057)
O (0.541, 0.802, 0.148)
O (0.250, 0.961, 0.583)
O (0.541, 0.302, 0.352)
Cs (0.250, 0.010, 0.296)
O (0.959, 0.802, 0.148)
Cs (0.250, 0.824, 0.911)
O (0.959, 0.302, 0.352)
Se (0.250, 0.766, 0.581)
O (0.750, 0.039, 0.417)
O (0.750, 0.301, 0.557)
O (0.459, 0.698, 0.648)
O (0.459, 0.198, 0.852)
O (0.750, 0.801, 0.943)
Cs (0.250, 0.324, 0.589)

V   23.15 Å³ per atom
Formation energy from the elements   -1808 meV/atom
Energy   -139.9 eV for the cell shown
Space group   Pnma, No. 62
Crystal system   orthorhombic


Entry 3:
Compound: Na2B4O11
Source: Materials Project
Functional: PBE
Structure: relaxed

Cell lengths 9.141, 6.898, 14.975 Å; angles 71.77, 90.00, 90.00 degrees
Positions (direct):
O (0.523, 0.483, 0.905)
O (0.452, 0.799, 0.781)
Na (0.345, 0.196, 0.926)
B (0.479, 0.575, 0.806)
O (0.092, 0.450, 0.759)
O (0.428, 0.074, 0.434)
O (0.952, 0.201, 0.719)
O (0.724, 0.452, 0.366)
B (0.979, 0.425, 0.694)
O (0.465, 0.894, 0.457)
O (0.653, 0.533, 0.206)
B (0.731, 0.443, 0.771)
Na (0.155, 0.196, 0.426)
O (0.535, 0.106, 0.543)
Na (0.470, 0.305, 0.687)
B (0.667, 0.450, 0.930)
B (0.813, 0.124, 0.741)
O (0.276, 0.548, 0.634)
O (0.847, 0.533, 0.706)
Na (0.970, 0.695, 0.813)
O (0.408, 0.450, 0.259)
O (0.928, 0.926, 0.066)
O (0.477, 0.517, 0.095)
Na (0.655, 0.804, 0.074)
O (0.023, 0.517, 0.595)
O (0.793, 0.936, 0.731)
B (0.833, 0.450, 0.430)
B (0.231, 0.557, 0.729)
Na (0.030, 0.305, 0.187)
O (0.784, 0.410, 0.521)
O (0.553, 0.981, 0.917)
B (0.167, 0.550, 0.570)
O (0.965, 0.106, 0.043)
O (0.592, 0.550, 0.741)
Na (0.530, 0.695, 0.313)
O (0.447, 0.019, 0.083)
O (0.704, 0.226, 0.772)
O (0.207, 0.064, 0.269)
Na (0.845, 0.804, 0.574)
B (0.313, 0.876, 0.759)
B (0.187, 0.876, 0.259)
O (0.572, 0.926, 0.566)
O (0.035, 0.894, 0.957)
O (0.548, 0.201, 0.219)
O (0.977, 0.483, 0.405)
B (0.021, 0.575, 0.306)
O (0.204, 0.774, 0.728)
B (0.521, 0.425, 0.194)
O (0.053, 0.019, 0.583)
O (0.048, 0.799, 0.281)
O (0.796, 0.226, 0.272)
O (0.153, 0.467, 0.294)
O (0.908, 0.550, 0.241)
B (0.269, 0.557, 0.229)
O (0.716, 0.410, 0.021)
O (0.776, 0.452, 0.866)
B (0.687, 0.124, 0.241)
O (0.296, 0.774, 0.228)
O (0.707, 0.936, 0.231)
O (0.947, 0.981, 0.417)
O (0.072, 0.074, 0.934)
O (0.216, 0.590, 0.479)
O (0.347, 0.467, 0.794)
B (0.769, 0.443, 0.271)
B (0.333, 0.550, 0.070)
O (0.224, 0.548, 0.134)
O (0.293, 0.064, 0.769)
O (0.284, 0.590, 0.979)

V   13.19 Å³ per atom
Formation energy from the elements   -1562 meV/atom
Energy   -434.3 eV for the cell shown
Energy above the lowest structure with this stoichiometry   172.8 meV/atom
Space group   P2_1/c, No. 14
Crystal system   monoclinic


Entry 4:
Compound: Y2Ga9Ir3
Source: Materials Project
Functional: PBE
Structure: relaxed

Cell lengths 7.602, 7.602, 9.517 Å; angles 90.00, 90.00, 119.94 degrees
Positions (direct):
Ga (0.666, 0.001, 0.580)
Ga (0.454, 0.661, 0.750)
Ga (0.661, 0.454, 0.750)
Ir (0.671, 0.329, 0.500)
Ga (0.546, 0.339, 0.250)
Ga (0.999, 0.334, 0.080)
Ga (0.001, 0.666, 0.580)
Ga (0.333, 0.333, 0.563)
Ga (0.001, 0.666, 0.920)
Ir (0.329, 0.671, 0.000)
Ir (0.000, 0.000, 0.500)
Ga (0.333, 0.333, 0.937)
Ga (0.339, 0.546, 0.250)
Y (0.997, 0.668, 0.250)
Ga (0.127, 0.127, 0.250)
Y (0.668, 0.997, 0.250)
Ir (0.000, 0.000, 0.000)
Ir (0.671, 0.329, 0.000)
Ga (0.666, 0.001, 0.920)
Y (0.332, 0.003, 0.750)
Ga (0.873, 0.873, 0.750)
Ga (0.667, 0.667, 0.437)
Ir (0.329, 0.671, 0.500)
Y (0.003, 0.332, 0.750)
Ga (0.334, 0.999, 0.420)
Ga (0.999, 0.334, 0.420)
Ga (0.334, 0.999, 0.080)
Ga (0.667, 0.667, 0.063)

V   17.02 Å³ per atom
Formation energy from the elements   -676 meV/atom
Energy   -152.3 eV for the cell shown
Space group   Cmcm, No. 63
Crystal system   orthorhombic